# 1
DFT (PBE-GGA) results for crystalline Mg2TiB2Ir5 at its relaxed geometry.

## Properties
Volume, Å³ per atom: 13.45
Total moment, μB per formula unit: 0.00

Cell: 9.5369 9.5369 2.9572 Å, 90.00 90.00 90.00°
Element x y z (fractional)
1 Mg 0.1762 0.3238 0.0000
2 Mg 0.3238 0.8238 0.0000
3 Mg 0.6762 0.1762 0.0000
4 Mg 0.8238 0.6762 0.0000
5 Ti 0.0000 0.0000 0.0000
6 Ti 0.5000 0.5000 0.0000
7 B 0.1238 0.6238 0.0000
8 B 0.3762 0.1238 0.0000
9 B 0.6238 0.8762 0.0000
10 B 0.8762 0.3762 0.0000
11 Ir 0.0000 0.5000 0.5000
12 Ir 0.0720 0.7843 0.5000
13 Ir 0.2157 0.0720 0.5000
14 Ir 0.2843 0.5720 0.5000
15 Ir 0.4280 0.2843 0.5000
16 Ir 0.5000 0.0000 0.5000
17 Ir 0.5720 0.7157 0.5000
18 Ir 0.7157 0.4280 0.5000
19 Ir 0.7843 0.9280 0.5000
20 Ir 0.9280 0.2157 0.5000

# 2
DFT (PBE-GGA) results for crystalline Mg2ZnB2Ir5 at its relaxed geometry.

## Properties
Volume, Å³ per atom: 13.27
Total moment, μB per formula unit: 0.00

Cell: 9.4907 9.4907 2.9472 Å, 90.00 90.00 90.00°
Element x y z (fractional)
1 Mg 0.1768 0.3232 0.0000
2 Mg 0.3232 0.8232 0.0000
3 Mg 0.6768 0.1768 0.0000
4 Mg 0.8232 0.6768 0.0000
5 Zn 0.0000 0.0000 0.0000
6 Zn 0.5000 0.5000 0.0000
7 B 0.1269 0.6269 0.0000
8 B 0.3731 0.1269 0.0000
9 B 0.6269 0.8731 0.0000
10 B 0.8731 0.3731 0.0000
11 Ir 0.0000 0.5000 0.5000
12 Ir 0.0705 0.7844 0.5000
13 Ir 0.2156 0.0705 0.5000
14 Ir 0.2844 0.5705 0.5000
15 Ir 0.4295 0.2844 0.5000
16 Ir 0.5000 0.0000 0.5000
17 Ir 0.5705 0.7156 0.5000
18 Ir 0.7156 0.4295 0.5000
19 Ir 0.7844 0.9295 0.5000
20 Ir 0.9295 0.2156 0.5000

Total DFT energy (no corrections) / eV per atom: -7.4588; -6.6614